[1]
# LiCo2OF5

Crystalline LiCo2OF5 at its relaxed geometry (PBE with a Hubbard U, Materials Project).

Geometry as POSCAR:
```
LiCo2OF5
1.0
3.236 3.239 0.000
-3.236 3.239 0.000
0.000 0.344 18.365
Li Co O F
4 8 4 20
Direct
0.994 0.986 0.000 Li
0.986 0.994 0.500 Li
0.496 0.514 0.750 Li
0.514 0.496 0.250 Li
0.008 0.010 0.664 Co
0.977 0.029 0.833 Co
0.029 0.977 0.333 Co
0.010 0.008 0.164 Co
0.491 0.507 0.414 Co
0.507 0.491 0.914 Co
0.474 0.478 0.583 Co
0.478 0.474 0.083 Co
0.203 0.206 0.591 O
0.206 0.203 0.091 O
0.300 0.706 0.341 O
0.706 0.300 0.841 O
0.209 0.200 0.916 F
0.198 0.201 0.749 F
0.200 0.209 0.416 F
0.201 0.198 0.249 F
0.313 0.684 0.995 F
0.292 0.714 0.835 F
0.300 0.709 0.166 F
0.300 0.698 0.500 F
0.297 0.711 0.666 F
0.698 0.300 0.000 F
0.709 0.300 0.666 F
0.684 0.313 0.495 F
0.711 0.297 0.166 F
0.714 0.292 0.335 F
0.814 0.817 0.746 F
0.799 0.788 0.915 F
0.787 0.791 0.586 F
0.788 0.799 0.415 F
0.817 0.814 0.246 F
0.791 0.787 0.086 F
```

Computed properties:
Its space-group type is Cc, No. 9. The value obtained for the formation energy is -19.58 eV per formula unit.

[2]
# Li4Co2OF7

Crystalline Li4Co2OF7 at its relaxed geometry (PBE with a Hubbard U, Materials Project).

Geometry as POSCAR:
```
Li4Co2OF7
1.0
-2.019 -4.953 2.651
-5.175 2.810 1.095
-2.905 -2.693 -7.393
Li Co O F
8 4 2 14
Direct
0.995 0.999 0.003 Li
0.495 0.499 0.503 Li
0.515 0.995 0.245 Li
0.015 0.495 0.745 Li
0.748 0.997 0.627 Li
0.248 0.497 0.127 Li
0.000 0.256 0.372 Li
0.500 0.756 0.872 Li
0.506 0.256 0.894 Co
0.732 0.482 0.119 Co
0.006 0.756 0.393 Co
0.232 0.982 0.619 Co
0.005 0.763 0.616 O
0.504 0.263 0.116 O
0.245 0.008 0.373 F
0.745 0.508 0.874 F
0.262 0.001 0.869 F
0.761 0.501 0.369 F
0.483 0.228 0.645 F
0.983 0.728 0.145 F
0.492 0.773 0.627 F
0.992 0.273 0.127 F
0.732 0.013 0.868 F
0.232 0.513 0.368 F
0.777 0.998 0.379 F
0.277 0.498 0.879 F
0.010 0.231 0.613 F
0.510 0.731 0.113 F
```

Computed properties:
The value obtained for the formation energy is -36.88 eV per formula unit.

[3]
# Li4Co2OF7

Crystalline Li4Co2OF7 at its relaxed geometry (PBE with a Hubbard U, Materials Project).

Geometry as POSCAR:
```
Li4Co2OF7
1.0
0.400 0.084 6.017
4.538 2.040 -3.342
-0.496 5.090 -3.068
Li Co O F
4 2 1 7
Direct
0.987 0.000 0.981 Li
0.764 0.251 0.267 Li
0.373 0.623 0.124 Li
0.381 0.124 0.633 Li
0.857 0.648 0.604 Co
0.380 0.633 0.615 Co
0.636 0.841 0.407 O
0.628 0.370 0.867 F
0.125 0.873 0.388 F
0.113 0.410 0.843 F
0.127 0.858 0.867 F
0.595 0.856 0.866 F
0.156 0.381 0.394 F
0.629 0.383 0.393 F
```

Computed properties:
Its space-group type is P1, No. 1. The value obtained for the formation energy is -37.01 eV per formula unit.

[4]
# Li8CoO5F

Crystalline Li8CoO5F at its relaxed geometry (PBE with a Hubbard U, Materials Project).

Geometry as POSCAR:
```
Li8CoO5F
1.0
5.290 0.212 -0.206
-0.277 2.968 10.128
2.465 -4.848 0.050
Li Co O F
16 2 10 2
Direct
0.921 0.184 0.470 Li
0.433 0.677 0.479 Li
0.197 0.332 0.228 Li
0.703 0.830 0.235 Li
0.912 0.324 0.883 Li
0.419 0.821 0.902 Li
0.263 0.016 0.376 Li
0.782 0.510 0.375 Li
0.186 0.483 0.666 Li
0.705 0.981 0.662 Li
0.600 0.171 0.083 Li
0.098 0.669 0.096 Li
0.279 0.184 0.790 Li
0.787 0.678 0.798 Li
0.568 0.330 0.516 Li
0.078 0.822 0.517 Li
0.058 0.981 0.952 Co
0.537 0.487 0.967 Co
0.884 0.384 0.582 O
0.384 0.881 0.604 O
0.231 0.120 0.106 O
0.737 0.619 0.113 O
0.949 0.119 0.754 O
0.454 0.612 0.773 O
0.557 0.382 0.208 O
0.066 0.872 0.219 O
0.266 0.378 0.888 O
0.773 0.878 0.893 O
0.581 0.140 0.426 F
0.091 0.636 0.440 F
```

Computed properties:
Its space-group type is P1, No. 1. The value obtained for the formation energy is -30.53 eV per formula unit.

Uncorrected energy list, top to bottom, in eV/atom: -4.884; -4.992; -5.001; -4.935
Energy with MP2020 corrections list, top to bottom, in eV per cell: -200.9; -154.2; -77.2; -159.1
Total moment list, top to bottom, in μB/cell: 32.00; 0.00; 1.00; 0.28